1.
# Na4Ti5O12

A relaxed structure of Na4Ti5O12 (GGA-PBE, the Materials Project).

POSCAR file:
```
Na4Ti5O12
1.0
5.956 0.000 0.000
-0.001 6.453 0.000
-1.488 -1.375 13.282
Na Ti O
8 10 24
Cartesian
0.747 2.425 1.522 Na
0.744 3.935 4.031 Na
0.746 1.778 8.238 Na
0.748 2.598 11.636 Na
3.720 2.480 1.646 Na
3.722 3.300 5.044 Na
3.723 1.143 9.251 Na
3.720 2.654 11.760 Na
-0.754 4.441 9.151 Ti
0.755 5.702 1.121 Ti
0.744 5.652 6.542 Ti
0.749 -0.623 12.104 Ti
2.223 0.637 4.132 Ti
2.244 4.441 9.150 Ti
3.719 5.701 1.178 Ti
3.723 -0.574 6.740 Ti
3.712 -0.624 12.161 Ti
5.221 0.637 4.131 Ti
-0.761 -0.013 7.761 O
-0.755 2.843 9.817 O
-0.748 0.598 12.081 O
-0.747 4.421 12.442 O
0.745 -0.256 3.061 O
0.744 0.892 5.440 O
0.745 4.159 7.859 O
0.745 5.299 10.234 O
2.229 0.643 0.832 O
2.228 4.476 1.217 O
2.221 2.234 3.465 O
2.216 5.091 5.522 O
2.251 -0.012 7.760 O
2.246 2.844 9.817 O
2.239 0.602 12.065 O
2.238 4.435 12.450 O
3.722 -0.221 3.048 O
3.723 0.919 5.423 O
3.723 4.186 7.842 O
3.723 5.334 10.221 O
5.214 0.657 0.840 O
5.215 4.480 1.201 O
5.222 2.235 3.465 O
5.229 5.091 5.521 O
```

Summary:
* calculated total energy: -7.67 eV/atom
* formation enthalpy at 0 K: -65.1 eV/f.u.
* space-group type: P-1
* magnetic moment: 0.00 μB per formula unit



2.
# Na3Ti8O16

A relaxed structure of Na3Ti8O16 (GGA-PBE, the Materials Project).

POSCAR file:
```
Na3Ti8O16
1.0
6.125 0.000 0.000
0.000 12.264 0.000
0.000 0.000 8.662
Na Ti O
6 16 32
Cartesian
1.531 0.016 1.093 Na
1.531 6.116 1.093 Na
1.531 9.198 3.267 Na
4.594 3.066 5.395 Na
4.594 6.148 7.569 Na
4.594 12.248 7.569 Na
0.000 0.000 4.331 Ti
0.000 6.132 4.331 Ti
0.022 3.066 0.042 Ti
1.531 1.548 6.431 Ti
1.531 4.584 6.431 Ti
1.531 7.701 6.482 Ti
1.531 10.695 6.482 Ti
3.041 3.066 0.042 Ti
3.063 0.000 4.331 Ti
3.063 6.132 4.331 Ti
3.085 9.198 8.620 Ti
4.594 1.569 2.180 Ti
4.594 4.563 2.180 Ti
4.594 7.680 2.231 Ti
4.594 10.716 2.231 Ti
6.104 9.198 8.620 Ti
0.214 9.198 6.643 O
0.221 3.066 6.661 O
0.231 0.009 6.335 O
0.231 6.123 6.335 O
1.531 1.317 4.481 O
1.531 1.760 8.496 O
1.531 4.372 8.496 O
1.531 4.815 4.481 O
1.531 7.431 4.483 O
1.531 7.888 8.498 O
1.531 10.508 8.498 O
1.531 10.965 4.483 O
2.832 0.009 6.335 O
2.832 6.123 6.335 O
2.841 3.066 6.661 O
2.849 9.198 6.643 O
3.277 3.066 2.020 O
3.284 9.198 2.001 O
3.294 6.141 2.327 O
3.294 12.255 2.327 O
4.594 1.299 4.179 O
4.594 1.756 0.164 O
4.594 4.376 0.164 O
4.594 4.833 4.179 O
4.594 7.449 4.181 O
4.594 7.892 0.166 O
4.594 10.504 0.166 O
4.594 10.947 4.181 O
5.894 6.141 2.327 O
5.894 12.255 2.327 O
5.904 9.198 2.001 O
5.911 3.066 2.020 O
```

Summary:
* calculated total energy: -8.20 eV/atom
* formation enthalpy at 0 K: -86.1 eV/f.u.
* space-group type: Pmmn
* magnetic moment: 0.01 μB per formula unit



3.
# Na6Ti2O7

A relaxed structure of Na6Ti2O7 (GGA-PBE, the Materials Project).

POSCAR file:
```
Na6Ti2O7
1.0
6.008 0.000 0.000
0.000 8.588 0.000
-5.853 0.000 9.059
Na Ti O
12 4 14
Cartesian
0.000 0.457 0.000 Na
-2.927 8.131 4.529 Na
-0.561 2.363 2.786 Na
-3.488 6.225 7.315 Na
-2.784 0.630 7.361 Na
0.143 7.958 2.832 Na
-1.249 3.649 6.529 Na
1.678 4.939 2.000 Na
2.411 1.860 2.174 Na
-0.516 6.728 6.703 Na
1.759 3.776 4.913 Na
4.686 4.812 0.384 Na
-4.584 3.491 8.244 Ti
-1.658 5.096 3.715 Ti
0.516 0.873 5.679 Ti
3.442 7.715 1.149 Ti
0.712 2.919 0.823 O
-2.214 5.668 5.352 O
-1.262 0.592 5.677 O
1.665 7.996 1.148 O
-2.794 3.761 8.208 O
0.132 4.827 3.678 O
1.151 1.119 3.997 O
-1.776 7.469 8.526 O
0.907 2.384 6.771 O
3.834 6.204 2.242 O
4.339 0.521 1.877 O
1.412 8.067 6.407 O
3.473 3.569 3.340 O
0.546 5.019 7.869 O
```

Summary:
* calculated total energy: -6.09 eV/atom
* formation enthalpy at 0 K: -37.8 eV/f.u.
* space-group type: Pc
* magnetic moment: 0.00 μB per formula unit
* largest piezoelectric modulus: 1.22 C/m²



Copy entry 1 word for word.
# Na4Ti5O12

A relaxed structure of Na4Ti5O12 (GGA-PBE, the Materials Project).

POSCAR file:
```
Na4Ti5O12
1.0
5.956 0.000 0.000
-0.001 6.453 0.000
-1.488 -1.375 13.282
Na Ti O
8 10 24
Cartesian
0.747 2.425 1.522 Na
0.744 3.935 4.031 Na
0.746 1.778 8.238 Na
0.748 2.598 11.636 Na
3.720 2.480 1.646 Na
3.722 3.300 5.044 Na
3.723 1.143 9.251 Na
3.720 2.654 11.760 Na
-0.754 4.441 9.151 Ti
0.755 5.702 1.121 Ti
0.744 5.652 6.542 Ti
0.749 -0.623 12.104 Ti
2.223 0.637 4.132 Ti
2.244 4.441 9.150 Ti
3.719 5.701 1.178 Ti
3.723 -0.574 6.740 Ti
3.712 -0.624 12.161 Ti
5.221 0.637 4.131 Ti
-0.761 -0.013 7.761 O
-0.755 2.843 9.817 O
-0.748 0.598 12.081 O
-0.747 4.421 12.442 O
0.745 -0.256 3.061 O
0.744 0.892 5.440 O
0.745 4.159 7.859 O
0.745 5.299 10.234 O
2.229 0.643 0.832 O
2.228 4.476 1.217 O
2.221 2.234 3.465 O
2.216 5.091 5.522 O
2.251 -0.012 7.760 O
2.246 2.844 9.817 O
2.239 0.602 12.065 O
2.238 4.435 12.450 O
3.722 -0.221 3.048 O
3.723 0.919 5.423 O
3.723 4.186 7.842 O
3.723 5.334 10.221 O
5.214 0.657 0.840 O
5.215 4.480 1.201 O
5.222 2.235 3.465 O
5.229 5.091 5.521 O
```

Summary:
* calculated total energy: -7.67 eV/atom
* formation enthalpy at 0 K: -65.1 eV/f.u.
* space-group type: P-1
* magnetic moment: 0.00 μB per formula unit